Entry 1:
An optimized crystal structure of TiCrCuS4. Source: Materials Project, functional PBE.

Unit cell a=5.7308 b=7.0362 c=11.8807 alpha=90.00 beta=90.00 gamma=90.00
Sites, in units of the cell vectors:
S  0.2835  0.2500  0.0838
S  0.7347  0.5131  0.1696
S  0.7351  0.2500  0.9167
S  0.2653  0.4869  0.8304
S  0.7649  0.2500  0.4167
S  0.2347  0.0131  0.3304
S  0.2165  0.2500  0.5838
S  0.7653  0.9869  0.6696
S  0.7835  0.7500  0.4162
S  0.2649  0.7500  0.0833
S  0.2653  0.0131  0.8304
S  0.2351  0.7500  0.5833
S  0.2347  0.4869  0.3304
S  0.7653  0.5131  0.6696
S  0.7165  0.7500  0.9162
S  0.7347  0.9869  0.1696
Ti  0.0264  0.7500  0.2495
Ti  0.4736  0.7500  0.7495
Ti  0.5264  0.2500  0.2505
Ti  0.9736  0.2500  0.7505
Cu  0.6042  0.2500  0.5958
Cu  0.1042  0.7500  0.9042
Cu  0.8958  0.2500  0.0958
Cu  0.3958  0.7500  0.4042
Cr  0.0000  0.5000  0.5000
Cr  0.5000  0.5000  0.0000
Cr  0.0000  0.0000  0.5000
Cr  0.5000  0.0000  0.0000

Summary:
ΔE to the lowest computed polymorph   53 meV/atom
Volume   479 Å³ per cell
E (MP2020)   -6.591 eV/atom
Space-group type   Pnma, No. 62
ρ   4.0 g/cm³

Entry 2:
An optimized crystal structure of U12O19. Source: Materials Project, functional PBE.

Unit cell a=3.8501 b=3.8501 c=37.0280 alpha=90.00 beta=90.00 gamma=120.00
Sites, in units of the cell vectors:
O  0.6667  0.3333  0.8125
O  0.6667  0.3333  0.1835
O  0.6667  0.3333  0.6911
O  0.3333  0.6667  0.2293
O  0.0000  0.0000  0.9008
O  0.6667  0.3333  0.0621
O  0.3333  0.6667  0.8543
O  0.3333  0.6667  0.1079
O  0.3333  0.6667  0.4843
O  0.6667  0.3333  0.4377
O  0.3333  0.6667  0.9752
O  0.0000  0.0000  0.6456
O  0.0000  0.0000  0.7660
O  0.3333  0.6667  0.6044
O  0.0000  0.0000  0.3958
O  0.3333  0.6667  0.3492
O  0.0000  0.0000  0.2750
O  0.0000  0.0000  0.0208
O  0.6667  0.3333  0.5585
U  0.0000  0.0000  0.0821
U  0.3333  0.6667  0.9156
U  0.6667  0.3333  0.4990
U  0.6667  0.3333  0.7515
U  0.6667  0.3333  0.2495
U  0.3333  0.6667  0.6659
U  0.3333  0.6667  0.4166
U  0.0000  0.0000  0.5841
U  0.6667  0.3333  0.0004
U  0.0000  0.0000  0.8335
U  0.0000  0.0000  0.3344
U  0.3333  0.6667  0.1676

Summary:
Volume   475 Å³ per cell
E (MP2020)   -10.722 eV/atom
Space-group type   P3m1, No. 156
ρ   11.0 g/cm³

Entry 3:
An optimized crystal structure of NdCu9Sn4. Source: Materials Project, functional PBE.

Unit cell a=8.7150 b=8.7150 c=8.7150 alpha=120.60 beta=120.60 gamma=88.96
Sites, in units of the cell vectors:
Sn  0.9422  0.8124  0.5000
Sn  0.6876  0.5578  0.5000
Sn  0.1876  0.6876  0.1299
Sn  0.5578  0.0578  0.8701
Sn  0.0578  0.1876  0.5000
Sn  0.8124  0.3124  0.8701
Sn  0.4422  0.9422  0.1299
Sn  0.3124  0.4422  0.5000
Cu  0.1991  0.0556  0.2547
Cu  0.5556  0.6991  0.2547
Cu  0.9444  0.1991  0.1435
Cu  0.0000  0.5000  0.5000
Cu  0.0647  0.5647  0.2819
Cu  0.5647  0.2828  0.5000
Cu  0.7828  0.0647  0.5000
Cu  0.4444  0.3009  0.7453
Cu  0.7172  0.2172  0.2819
Cu  0.5000  0.0000  0.5000
Cu  0.9353  0.4353  0.7181
Cu  0.6991  0.4444  0.1435
Cu  0.8009  0.9444  0.7453
Cu  0.4353  0.7172  0.5000
Cu  0.2828  0.7828  0.7181
Cu  0.2172  0.9353  0.5000
Cu  0.0556  0.8009  0.8565
Cu  0.3009  0.5556  0.8565
Nd  0.7500  0.7500  0.0000
Nd  0.2500  0.2500  0.0000

Summary:
Volume   464 Å³ per cell
Uncorrected energy   -4.27 eV/atom
Space-group type   I4/mcm, No. 140
ρ   8.5 g/cm³

Entry 4:
An optimized crystal structure of PrGe3. Source: Materials Project, functional PBE.

Unit cell a=4.4250 b=4.4250 c=4.4250 alpha=90.00 beta=90.00 gamma=90.00
Sites, in units of the cell vectors:
Ge  0.5000  0.0000  0.5000
Ge  0.5000  0.5000  0.0000
Ge  0.0000  0.5000  0.5000
Pr  0.0000  0.0000  0.0000

Summary:
Volume   87 Å³ per cell
Uncorrected energy   -5.06 eV/atom
Space-group type   Pm-3m, No. 221
ρ   6.9 g/cm³

Entry 5:
An optimized crystal structure of Pr3Si11Pt23. Source: Materials Project, functional PBE.

Unit cell a=12.0695 b=12.0695 c=12.0695 alpha=60.00 beta=60.00 gamma=60.00
Sites, in units of the cell vectors:
Si  0.6066  0.6066  0.6066
Si  0.1654  0.1654  0.5037
Si  0.8346  0.8346  0.8346
Si  0.4963  0.8346  0.8346
Si  0.8288  0.1712  0.1712
Si  0.5037  0.1654  0.1654
Si  0.1712  0.8288  0.8288
Si  0.8197  0.3934  0.3934
Si  0.1654  0.5037  0.1654
Si  0.6066  0.6066  0.1803
Si  0.8346  0.8346  0.4963
Si  0.1654  0.1654  0.1654
Si  0.3934  0.3934  0.3934
Si  0.6066  0.1803  0.6066
Si  0.1712  0.8288  0.1712
Si  0.8346  0.4963  0.8346
Si  0.3934  0.8197  0.3934
Si  0.8288  0.1712  0.8288
Si  0.8288  0.8288  0.1712
Si  0.3934  0.3934  0.8197
Si  0.1803  0.6066  0.6066
Si  0.1712  0.1712  0.8288
Pt  0.7515  0.0828  0.0828
Pt  0.3743  0.3743  0.6257
Pt  0.0828  0.7515  0.0828
Pt  0.9172  0.9172  0.9172
Pt  0.3743  0.6257  0.6257
Pt  0.9169  0.5790  0.2520
Pt  0.5790  0.9169  0.2520
Pt  0.6917  0.6917  0.9249
Pt  0.9169  0.2520  0.2520
Pt  0.3743  0.6257  0.3743
Pt  0.0831  0.7480  0.7480
Pt  0.0831  0.4210  0.7480
Pt  0.0828  0.0828  0.0828
Pt  0.7480  0.0831  0.7480
Pt  0.6917  0.9249  0.6917
Pt  0.2520  0.5790  0.2520
Pt  0.6257  0.6257  0.3743
Pt  0.7480  0.7480  0.4210
Pt  0.5790  0.2520  0.2520
Pt  0.3083  0.3083  0.3083
Pt  0.2520  0.9169  0.2520
Pt  0.4210  0.0831  0.7480
Pt  0.9169  0.2520  0.5790
Pt  0.9172  0.2485  0.9172
Pt  0.9249  0.6917  0.6917
Pt  0.2520  0.2520  0.9169
Pt  0.7480  0.4210  0.7480
Pt  0.7480  0.7480  0.0831
Pt  0.2520  0.5790  0.9169
Pt  0.6257  0.3743  0.6257
Pt  0.3083  0.0751  0.3083
Pt  0.0751  0.3083  0.3083
Pt  0.0831  0.7480  0.4210
Pt  0.3083  0.3083  0.0751
Pt  0.7480  0.4210  0.0831
Pt  0.2485  0.9172  0.9172
Pt  0.4210  0.7480  0.7480
Pt  0.2520  0.2520  0.5790
Pt  0.7480  0.0831  0.4210
Pt  0.0828  0.0828  0.7515
Pt  0.4210  0.7480  0.0831
Pt  0.6257  0.3743  0.3743
Pt  0.9172  0.9172  0.2485
Pt  0.6917  0.6917  0.6917
Pt  0.5790  0.2520  0.9169
Pt  0.2520  0.9169  0.5790
Pr  0.5000  0.5000  0.0000
Pr  0.0000  0.5000  0.5000
Pr  0.5000  0.0000  0.0000
Pr  0.5000  0.0000  0.5000
Pr  0.0000  0.0000  0.5000
Pr  0.0000  0.5000  0.0000

Summary:
Volume   1243 Å³ per cell
Uncorrected energy   -6.66 eV/atom
Space-group type   Fm-3m, No. 225
ρ   13.9 g/cm³

Entry 6:
An optimized crystal structure of MgAl6O10. Source: Materials Project, functional PBE.

Unit cell a=5.6800 b=5.6800 c=23.5496 alpha=82.87 beta=82.87 gamma=60.59
Sites, in units of the cell vectors:
O  0.5296  0.0622  0.3464
O  0.5302  0.5302  0.8545
O  0.3499  0.3499  0.9470
O  0.3455  0.3455  0.4465
O  0.8388  0.8388  0.4532
O  0.6376  0.6376  0.0555
O  0.9369  0.9369  0.6531
O  0.3327  0.8592  0.9480
O  0.4558  0.4558  0.1504
O  0.2714  0.7125  0.7474
O  0.4344  0.9313  0.1546
O  0.0442  0.0442  0.8607
O  0.0622  0.5296  0.3464
O  0.0576  0.0576  0.3483
O  0.0857  0.5288  0.8546
O  0.7125  0.2714  0.7474
O  0.1658  0.1658  0.5362
O  0.6357  0.1319  0.5531
O  0.1319  0.6357  0.5531
O  0.7293  0.2858  0.2550
O  0.8649  0.3697  0.4448
O  0.4837  0.9317  0.6537
O  0.2476  0.2476  0.2559
O  0.8551  0.8551  0.9502
O  0.7545  0.7545  0.7429
O  0.9317  0.4837  0.6537
O  0.7347  0.7347  0.2544
O  0.5288  0.0857  0.8546
O  0.6637  0.1693  0.0460
O  0.1693  0.6637  0.0460
O  0.3697  0.8649  0.4448
O  0.9647  0.9647  0.1379
O  0.9313  0.4344  0.1546
O  0.2858  0.7293  0.2550
O  0.2699  0.2699  0.7473
O  0.6573  0.6573  0.5487
O  0.4503  0.4503  0.6533
O  0.1445  0.1445  0.0479
O  0.5515  0.5515  0.3464
O  0.8592  0.3327  0.9480
Al  0.4021  0.4021  0.3000
Al  0.6665  0.6665  0.9805
Al  0.2684  0.2684  0.1748
Al  0.8956  0.4029  0.2999
Al  0.6965  0.2011  0.9009
Al  0.0983  0.6031  0.6984
Al  0.6031  0.0983  0.6984
Al  0.1869  0.1869  0.4055
Al  0.2988  0.8004  0.1013
Al  0.4697  0.4697  0.5731
Al  0.2011  0.6965  0.9009
Al  0.0013  0.5000  0.4996
Al  0.6099  0.6099  0.1989
Al  0.8004  0.2988  0.1013
Al  0.4029  0.8956  0.2999
Al  0.5300  0.5300  0.4258
Al  0.6035  0.6035  0.6983
Al  0.1994  0.1994  0.9013
Al  0.9860  0.9860  0.0068
Al  0.8110  0.8110  0.5975
Al  0.5000  0.0013  0.4996
Al  0.8675  0.8675  0.3781
Al  0.3290  0.3290  0.0268
Al  0.4003  0.4003  0.7989
Mg  0.0743  0.0743  0.7734
Mg  0.7262  0.7262  0.8252
Mg  0.1333  0.1333  0.6175
Mg  0.9324  0.9324  0.2196

Summary:
ΔE to the lowest computed polymorph   20 meV/atom
Volume   655 Å³ per cell
E (MP2020)   -7.681 eV/atom
Space-group type   Cm, No. 8
ρ   3.5 g/cm³

Entry 7:
An optimized crystal structure of CrCuN6Cl5. Source: Materials Project, functional PBE.

Unit cell a=10.1356 b=10.1356 c=10.1356 alpha=90.00 beta=90.00 gamma=90.00
Sites, in units of the cell vectors:
N  0.1318  0.6538  0.3462
N  0.3682  0.1538  0.8462
N  0.8462  0.3682  0.1538
N  0.6538  0.3462  0.1318
N  0.8682  0.3462  0.3462
N  0.6318  0.1538  0.1538
N  0.8462  0.6318  0.8462
N  0.3462  0.8682  0.3462
N  0.1538  0.6318  0.1538
N  0.6538  0.1318  0.3462
N  0.1538  0.1538  0.6318
N  0.8682  0.6538  0.6538
N  0.1318  0.3462  0.6538
N  0.3462  0.6538  0.1318
N  0.8462  0.8462  0.6318
N  0.3462  0.1318  0.6538
N  0.3682  0.8462  0.1538
N  0.6538  0.6538  0.8682
N  0.6318  0.8462  0.8462
N  0.6538  0.8682  0.6538
N  0.3462  0.3462  0.8682
N  0.8462  0.1538  0.3682
N  0.1538  0.3682  0.8462
N  0.1538  0.8462  0.3682
Cl  0.3674  0.6326  0.6326
Cl  0.5000  0.0000  0.7500
Cl  0.1326  0.1326  0.1326
Cl  0.0000  0.2500  0.5000
Cl  0.6326  0.3674  0.6326
Cl  0.0000  0.5000  0.2500
Cl  0.8674  0.1326  0.8674
Cl  0.5000  0.2500  0.0000
Cl  0.5000  0.0000  0.2500
Cl  0.5000  0.7500  0.0000
Cl  0.7500  0.5000  0.0000
Cl  0.0000  0.7500  0.5000
Cl  0.2500  0.5000  0.0000
Cl  0.1326  0.8674  0.8674
Cl  0.6326  0.6326  0.3674
Cl  0.3674  0.3674  0.3674
Cl  0.8674  0.8674  0.1326
Cl  0.2500  0.0000  0.5000
Cl  0.0000  0.5000  0.7500
Cl  0.7500  0.0000  0.5000
Cr  0.7500  0.2500  0.2500
Cr  0.2500  0.2500  0.7500
Cr  0.7500  0.7500  0.7500
Cr  0.2500  0.7500  0.2500
Cu  0.7500  0.2500  0.7500
Cu  0.2500  0.7500  0.7500
Cu  0.2500  0.2500  0.2500
Cu  0.7500  0.7500  0.2500

Summary:
Volume   1041 Å³ per cell
E (MP2020)   -4.452 eV/atom
Space-group type   Pn-3m, No. 224
ρ   2.4 g/cm³

Entry 8:
An optimized crystal structure of CsNaMg6O7. Source: Materials Project, functional PBE.

Unit cell a=4.2440 b=4.2440 c=11.9728 alpha=90.00 beta=90.00 gamma=90.00
Sites, in units of the cell vectors:
O  0.0000  0.5000  0.4878
O  0.0000  0.5000  0.1150
O  0.5000  0.5000  0.3117
O  0.5000  0.0000  0.1150
O  0.5000  0.5000  0.6722
O  0.0000  0.0000  0.6720
O  0.5000  0.0000  0.4878
Mg  0.0000  0.5000  0.6632
Mg  0.5000  0.0000  0.6632
Mg  0.5000  0.0000  0.2737
Mg  0.0000  0.5000  0.2737
Mg  0.5000  0.5000  0.4792
Mg  0.0000  0.0000  0.4955
Cs  0.5000  0.5000  0.9612
Na  0.0000  0.0000  0.0786

Summary:
ΔE to the lowest computed polymorph   0 meV/atom
Volume   216 Å³ per cell
E (MP2020)   -5.357 eV/atom
Space-group type   P4mm, No. 99
ρ   3.2 g/cm³

Entry 9:
An optimized crystal structure of LaMg6Fe. Source: Materials Project, functional PBE.

Unit cell a=5.0135 b=5.8107 c=12.4526 alpha=90.00 beta=90.00 gamma=90.00
Sites, in units of the cell vectors:
Mg  0.5000  0.2473  0.9373
Mg  0.0000  0.2609  0.5771
Mg  0.0000  0.5000  0.3508
Mg  0.0000  0.7391  0.5771
Mg  0.0000  0.7609  0.0771
Mg  0.0000  0.2391  0.0771
Mg  0.0000  0.5000  0.7917
Mg  0.5000  0.7473  0.4373
Mg  0.5000  0.7527  0.9373
Mg  0.0000  0.0000  0.2917
Mg  0.5000  0.2527  0.4373
Mg  0.0000  0.0000  0.8508
Fe  0.5000  0.5000  0.6418
Fe  0.5000  0.0000  0.1418
La  0.5000  0.5000  0.1868
La  0.5000  0.0000  0.6868

Summary:
ΔE to the lowest computed polymorph   0 meV/atom
Volume   363 Å³ per cell
ρ   3.1 g/cm³

Entry 10:
An optimized crystal structure of Ba3In2P4. Source: Materials Project, functional PBE.

Unit cell a=8.9536 b=8.9536 c=7.1769 alpha=89.88 beta=89.88 gamma=75.65
Sites, in units of the cell vectors:
P  0.7091  0.0584  0.0266
P  0.2568  0.4276  0.0685
P  0.4276  0.2568  0.5685
P  0.5724  0.7432  0.4315
P  0.0584  0.7091  0.5266
P  0.7432  0.5724  0.9315
P  0.2909  0.9416  0.9734
P  0.9416  0.2909  0.4734
Ba  0.0057  0.7472  0.0449
Ba  0.9943  0.2528  0.9551
Ba  0.2528  0.9943  0.4551
Ba  0.5983  0.4017  0.2500
Ba  0.4017  0.5983  0.7500
Ba  0.7472  0.0057  0.5449
In  0.5808  0.8262  0.0845
In  0.8262  0.5808  0.5845
In  0.1738  0.4192  0.4155
In  0.4192  0.1738  0.9155

Summary:
Volume   557 Å³ per cell
Uncorrected energy   -4.45 eV/atom
Space-group type   C2/c, No. 15
ρ   4.6 g/cm³

Entry 11:
An optimized crystal structure of YGe2. Source: Materials Project, functional PBE.

Unit cell a=8.7923 b=8.7923 c=8.7923 alpha=153.74 beta=153.74 gamma=37.48
Sites, in units of the cell vectors:
Ge  0.0780  0.0780  0.0000
Ge  0.6720  0.1720  0.5000
Ge  0.8280  0.3280  0.5000
Ge  0.9220  0.9220  0.0000
Y  0.5000  0.5000  0.0000
Y  0.2500  0.7500  0.5000

Summary:
Volume   133 Å³ per cell
Uncorrected energy   -5.77 eV/atom
Space-group type   I4_1/amd, No. 141
ρ   5.9 g/cm³

Entry 12:
An optimized crystal structure of ZnGe. Source: Materials Project, functional PBE.

Unit cell a=4.3012 b=8.1223 c=10.9887 alpha=90.00 beta=90.00 gamma=90.00
Sites, in units of the cell vectors:
Zn  0.9678  0.7618  0.6328
Zn  0.9678  0.7382  0.1328
Zn  0.4932  0.5115  0.3824
Zn  0.5068  0.4885  0.8824
Zn  0.0322  0.2618  0.6328
Zn  0.0322  0.2382  0.1328
Zn  0.5068  0.0115  0.3824
Zn  0.4932  0.9885  0.8824
Ge  0.5365  0.2370  0.7517
Ge  0.4635  0.7630  0.2517
Ge  0.5365  0.2630  0.2517
Ge  0.9887  0.5099  0.4994
Ge  0.9887  0.9901  0.9994
Ge  0.0113  0.0099  0.4994
Ge  0.0113  0.4901  0.9994
Ge  0.4635  0.7370  0.7517

Summary:
Volume   384 Å³ per cell
Uncorrected energy   -2.50 eV/atom
Space-group type   Pca2_1, No. 29
ρ   4.8 g/cm³